(1)
The following is a PBE-GGA calculation of a relaxed TlAgS crystal, from the Materials Project.

Lattice parameters (Å, degrees): 4.466 7.328 8.667 90.00 90.00 90.00
Fractional positions:
1 Ag 0.750 0.083 0.314
2 S 0.750 0.400 0.183
3 Tl 0.750 0.812 0.994
4 S 0.250 0.600 0.817
5 Tl 0.250 0.312 0.506
6 S 0.750 0.100 0.683
7 Tl 0.750 0.688 0.494
8 Ag 0.750 0.417 0.814
9 S 0.250 0.900 0.317
10 Ag 0.250 0.917 0.686
11 Tl 0.250 0.188 0.006
12 Ag 0.250 0.583 0.186

Summary:
* formation energy: -0.352 eV per atom
* spin magnetization: 0.0 μB/f.u.
* E (MP2020): -41.6 eV/cell
* symmetry: Pnma (62)

(2)
The following is a PBE-GGA calculation of a relaxed Na14Y4Mg4Si5S7O48 crystal, from the Materials Project.

Lattice parameters (Å, degrees): 18.585 9.261 22.990 89.98 90.46 119.90
Fractional positions:
1 Na 0.817 0.323 0.833
2 Na 0.183 0.350 0.253
3 Na 0.011 0.368 0.742
4 O 0.740 0.304 0.750
5 O 0.092 0.163 0.083
6 Na 0.003 0.653 0.246
7 Na 0.807 0.992 0.251
8 Y 0.661 0.663 0.515
9 O 0.429 0.326 0.528
10 O 0.762 0.879 0.362
11 O 0.686 0.514 0.081
12 O 0.581 0.678 0.756
13 S 0.511 0.356 0.915
14 O 0.490 0.197 0.308
15 Na 0.343 0.650 0.418
16 O 0.924 0.319 0.244
17 O 0.336 0.145 0.424
18 Na 0.329 0.981 0.591
19 O 0.162 0.500 0.760
20 O 0.010 0.803 0.703
21 O 0.187 0.862 0.581
22 O 0.753 0.352 0.419
23 O 0.853 0.160 0.752
24 O 0.681 0.852 0.578
25 O 0.850 0.542 0.248
26 O 0.905 0.799 0.586
27 O 0.756 0.643 0.575
28 O 0.932 0.514 0.421
29 S 0.322 0.974 0.418
30 O 0.770 0.859 0.755
31 O 0.847 0.146 0.031
32 Mg 0.011 0.015 0.350
33 O 0.513 0.814 0.698
34 Mg 0.323 0.332 0.487
35 O 0.509 0.217 0.203
36 O 0.583 0.988 0.913
37 Y 0.667 0.667 0.817
38 O 0.254 0.349 0.420
39 Na 0.833 0.995 0.584
40 Mg 0.516 0.023 0.347
41 Si 0.184 0.337 0.082
42 S 0.316 0.670 0.915
43 O 0.764 0.633 0.869
44 O 0.576 0.670 0.082
45 O 0.610 0.031 0.309
46 O 0.398 0.825 0.910
47 Mg 0.667 0.664 0.319
48 O 0.230 0.147 0.523
49 Si 0.494 0.687 0.753
50 Si 0.690 0.340 0.084
51 O 0.094 0.969 0.192
52 Na 0.155 0.656 0.666
53 Na 0.652 0.648 0.162
54 O 0.758 0.880 0.080
55 O 0.107 0.191 0.810
56 Si 0.192 0.046 0.584
57 Na 0.658 0.667 0.672
58 O 0.422 0.529 0.025
59 Y 0.656 0.655 0.019
60 O 0.937 0.522 0.138
61 O 0.228 0.309 0.026
62 O 0.404 0.017 0.803
63 O 0.999 0.190 0.908
64 O 0.261 0.644 0.864
65 O 0.267 0.678 0.254
66 O 0.733 0.317 0.026
67 O 0.266 0.848 0.757
68 O 0.440 0.530 0.144
69 O 0.744 0.368 0.144
70 O 0.563 0.473 0.580
71 O 0.182 0.473 0.356
72 Na 0.169 0.669 0.164
73 Na 0.502 0.372 0.745
74 O 0.320 0.112 0.132
75 O 0.180 0.511 0.080
76 O 0.499 0.186 0.909
77 Mg 0.170 0.674 0.817
78 O 0.925 0.319 0.523
79 O 0.073 0.462 0.257
80 O 0.481 0.810 0.083
81 S 0.335 0.626 0.582
82 Mg 0.828 0.325 0.489
83 O 0.843 0.551 0.526
84 O 0.434 0.510 0.421
85 O 0.082 0.984 0.911
86 S 0.835 0.046 0.083
87 O 0.064 0.653 0.082
88 S 0.996 0.295 0.252
89 O 0.404 0.009 0.087
90 O 0.342 0.133 0.027
91 Si 0.654 0.995 0.254
92 O 0.009 0.215 0.201
93 Si 0.668 0.367 0.414
94 O 0.906 0.795 0.303
95 O 0.990 0.783 0.808
96 Na 0.170 0.281 0.913
97 S 0.822 0.671 0.919
98 Y 0.009 0.013 0.649
99 O 0.346 0.551 0.528
100 Na 0.669 0.997 0.751
101 O 0.076 0.481 0.582
102 O 0.430 0.349 0.923
103 O 0.983 0.191 0.304
104 O 0.403 0.800 0.305
105 O 0.570 0.702 0.464
106 Na 0.187 0.021 0.751
107 O 0.980 0.151 0.583
108 S 0.355 0.711 0.253
109 S 0.475 0.332 0.582
110 O 0.662 0.825 0.260
111 Na 0.683 0.352 0.252
112 O 0.069 0.436 0.966
113 O 0.890 0.807 0.199
114 Y 0.508 0.996 0.651
115 O 0.906 0.012 0.088
116 O 0.829 0.130 0.136
117 Na 0.839 0.030 0.912
118 Na 0.669 0.058 0.419
119 O 0.253 0.154 0.921
120 Na 0.335 0.673 0.080
121 Na 0.148 0.325 0.583
122 O 0.429 0.326 0.252
123 Na 0.495 0.304 0.419
124 O 0.257 0.635 0.577
125 Y 0.007 0.009 0.148
126 Y 0.830 0.330 0.683
127 S 0.856 0.001 0.753
128 O 0.681 0.489 0.359
129 O 0.728 0.145 0.522
130 Si 0.152 0.313 0.754
131 O 0.149 0.856 0.976
132 Na 0.816 0.319 0.336
133 Y 0.510 0.006 0.148
134 S 0.332 0.035 0.080
135 O 0.155 0.459 0.470
136 O 0.929 0.532 0.751
137 O 0.478 0.172 0.583
138 Na 0.487 0.682 0.917
139 Na 0.663 0.280 0.915
140 Y 0.171 0.675 0.319
141 O 0.235 0.359 0.143
142 Na 0.157 0.990 0.075
143 O 0.500 0.809 0.406
144 O 0.402 0.979 0.409
145 Si 0.978 0.330 0.582
146 O 0.255 0.866 0.076
147 O 0.737 0.116 0.640
148 O 0.415 0.500 0.743
149 O 0.344 0.150 0.747
150 Si 0.669 0.978 0.917
151 S 0.012 0.667 0.414
152 Na 0.646 0.968 0.078
153 O 0.070 0.704 0.464
154 Na 0.014 0.021 0.505
155 O 0.687 0.892 0.861
156 Na 0.994 0.685 0.914
157 Mg 0.819 0.314 0.182
158 O 0.276 0.690 0.969
159 O 0.082 0.177 0.412
160 O 0.437 0.349 0.635
161 O 0.929 0.532 0.031
162 O 0.900 0.975 0.406
163 S 0.817 0.963 0.412
164 O 0.052 0.641 0.361
165 Si 0.149 0.997 0.252
166 Si 0.168 0.361 0.415
167 S 0.014 0.364 0.913
168 O 0.821 0.527 0.631
169 O 0.099 0.027 0.587
170 Si 0.167 0.969 0.915
171 Na 0.016 0.022 0.994
172 Na 0.516 0.011 0.500
173 O 0.593 0.025 0.581
174 O 0.283 0.869 0.470
175 O 0.903 0.826 0.910
176 O 0.092 0.232 0.695
177 O 0.240 0.169 0.250
178 O 0.079 0.692 0.759
179 O 0.405 0.802 0.585
180 O 0.933 0.359 0.923
181 O 0.597 0.224 0.691
182 O 0.055 0.469 0.862
183 O 0.651 0.449 0.473
184 O 0.659 0.485 0.755
185 O 0.828 0.132 0.417
186 Si 0.650 0.300 0.752
187 O 0.768 0.682 0.257
188 O 0.784 0.698 0.972
189 Y 0.157 0.659 0.521
190 O 0.328 0.529 0.634
191 O 0.603 0.186 0.809
192 O 0.978 0.783 0.086
193 S 0.853 0.706 0.252
194 Na 0.341 0.033 0.911
195 O 0.568 0.434 0.966
196 O 0.598 0.171 0.086
197 Y 0.161 0.658 0.014
198 O 0.893 0.981 0.699
199 O 0.748 0.163 0.247
200 O 0.938 0.349 0.642
201 Na 0.512 0.655 0.241
202 Na 0.168 0.053 0.422
203 Y 0.331 0.330 0.182
204 Na 0.318 0.620 0.753
205 O 0.264 0.897 0.368
206 O 0.582 0.180 0.411
207 Na 0.328 0.334 0.827
208 O 0.476 0.766 0.811
209 O 0.000 0.813 0.407
210 O 0.595 0.960 0.195
211 Mg 0.327 0.332 0.986
212 Mg 0.014 0.007 0.847
213 S 0.833 0.629 0.579
214 Na 0.321 0.312 0.335
215 O 0.179 0.867 0.861
216 O 0.101 0.016 0.308
217 O 0.551 0.461 0.863
218 Si 0.684 0.033 0.579
219 O 0.555 0.641 0.361
220 S 0.501 0.299 0.256
221 O 0.391 0.803 0.199
222 O 0.754 0.163 0.921
223 O 0.779 0.862 0.466
224 O 0.578 0.466 0.259
225 O 0.906 0.009 0.805
226 Na 0.513 0.005 0.000
227 O 0.836 0.527 0.925
228 Mg 0.823 0.317 0.985
229 O 0.326 0.521 0.919
230 S 0.002 0.704 0.756
231 Na 0.827 0.676 0.085
232 S 0.975 0.616 0.084
233 O 0.657 0.861 0.974
234 O 0.153 0.821 0.254
235 Na 0.838 0.647 0.416
236 Na 0.987 0.296 0.432
237 Si 0.479 0.626 0.082
238 S 0.351 0.997 0.752
239 S 0.515 0.665 0.412
240 Mg 0.326 0.333 0.687
241 O 0.249 0.136 0.641
242 Mg 0.513 0.989 0.844
243 Na 0.652 0.321 0.582
244 O 0.243 0.324 0.747
245 O 0.350 0.543 0.252
246 O 0.388 0.972 0.698

Summary:
* formation energy: -2.627 eV per atom
* spin magnetization: 0.0 μB/f.u.
* E (MP2020): -1679.3 eV/cell
* symmetry: P1 (1)

(3)
The following is a PBE-GGA calculation of a relaxed Sm4MgRh crystal, from the Materials Project.

Lattice parameters (Å, degrees): 9.899 9.899 9.899 60.00 60.00 60.00
Fractional positions:
1 Mg 0.829 0.512 0.829
2 Sm 0.186 0.814 0.186
3 Sm 0.814 0.186 0.186
4 Sm 0.438 0.062 0.062
5 Sm 0.814 0.186 0.814
6 Rh 0.392 0.392 0.824
7 Sm 0.438 0.062 0.438
8 Sm 0.062 0.438 0.062
9 Sm 0.062 0.062 0.438
10 Sm 0.062 0.438 0.438
11 Mg 0.512 0.829 0.829
12 Mg 0.829 0.829 0.512
13 Sm 0.597 0.597 0.209
14 Sm 0.597 0.597 0.597
15 Sm 0.209 0.597 0.597
16 Rh 0.824 0.392 0.392
17 Mg 0.829 0.829 0.829
18 Sm 0.597 0.209 0.597
19 Sm 0.186 0.186 0.814
20 Sm 0.438 0.438 0.062
21 Rh 0.392 0.824 0.392
22 Sm 0.814 0.814 0.186
23 Sm 0.186 0.814 0.814
24 Rh 0.392 0.392 0.392

Summary:
* formation energy: -0.362 eV per atom
* symmetry: F-43m (216)

(4)
The following is a PBE-GGA calculation of a relaxed Ce4Mg7Ge6 crystal, from the Materials Project.

Lattice parameters (Å, degrees): 8.730 8.730 12.743 58.46 58.46 29.90
Fractional positions:
1 Ge 0.152 0.152 0.978
2 Mg 0.689 0.689 0.846
3 Ce 0.732 0.732 0.391
4 Mg 0.039 0.039 0.861
5 Ge 0.878 0.878 0.655
6 Ge 0.122 0.122 0.345
7 Mg 0.311 0.311 0.154
8 Mg 0.937 0.937 0.397
9 Ge 0.390 0.390 0.310
10 Mg 0.063 0.063 0.603
11 Mg 0.500 0.500 0.500
12 Ge 0.610 0.610 0.690
13 Ge 0.848 0.848 0.022
14 Mg 0.961 0.961 0.139
15 Ce 0.628 0.628 0.165
16 Ce 0.268 0.268 0.609
17 Ce 0.372 0.372 0.835

Summary:
* formation energy: -0.495 eV per atom
* spin magnetization: 4.2 μB/f.u.
* symmetry: C2/m (12)